(1)
Material: Fe4Si2Sn7O16
Method: DFT, PBE+U
State: relaxed

Cell and atoms, written as CIF:
```
data_Fe4Si2Sn7O16
_chemical_formula_sum 'Fe16 Si8 Sn28 O64'
_cell_length_a 22.3240
_cell_length_b 6.9418
_cell_length_c 12.0261
_cell_angle_alpha 90.00
_cell_angle_beta 122.59
_cell_angle_gamma 90.00
_space_group_name_H-M_alt 'C 1 2/m 1'
_space_group_IT_number 12
loop_
_space_group_symop_operation_xyz
'x,y,z'
'-x,-y,-z'
'-x,y,-z'
'x,-y,z'
'x+1/2,y+1/2,z'
'-x+1/2,-y+1/2,-z'
'-x+1/2,y+1/2,-z'
'x+1/2,-y+1/2,z'
loop_
_atom_site_label
_atom_site_fract_x
_atom_site_fract_y
_atom_site_fract_z
Fe1 0.0000 0.0000 0.0000
Fe2 0.0000 0.2498 0.2500
Fe3 0.0000 0.5000 0.5000
Fe4 0.2500 0.0000 0.7500
Si1 0.1311 0.0000 0.9643
Si2 0.1312 0.5000 0.4644
Sn1 0.0000 0.0000 0.5000
Sn2 0.0000 0.5000 0.0000
Sn3 0.1671 0.0000 0.5015
Sn4 0.1672 0.2486 0.7500
Sn5 0.1670 0.2514 0.2498
Sn6 0.1671 0.5000 0.0015
O1 0.0421 0.0000 0.8751
O2 0.0421 0.5000 0.3759
O3 0.0562 0.0000 0.4021
O4 0.0564 0.2314 0.6334
O5 0.0563 0.2683 0.1333
O6 0.0562 0.5000 0.9016
O7 0.1567 0.0000 0.1195
O8 0.1571 0.1944 0.9256
O9 0.1570 0.3056 0.4255
O10 0.1572 0.5000 0.6199
O11 0.1841 0.0000 0.3508
O12 0.1840 0.5000 0.8507
```

For the formation energy, the calculation gives -1922 meV/atom. As for the MP2020-corrected energy: -7.162 eV/atom. The crystal system is monoclinic.



(2)
Material: V2Fe3Si3O12
Method: DFT, PBE+U
State: relaxed

Cell and atoms, written as CIF:
```
data_V2Fe3Si3O12
_chemical_formula_sum 'V16 Fe24 Si24 O96'
_cell_length_a 11.9039
_cell_length_b 11.9039
_cell_length_c 11.9039
_cell_angle_alpha 90.00
_cell_angle_beta 90.00
_cell_angle_gamma 90.00
_space_group_name_H-M_alt 'I a -3 d'
_space_group_IT_number 230
_space_group_name_Hall '-I 4bd 2c 3'
loop_
_atom_site_label
_atom_site_fract_x
_atom_site_fract_y
_atom_site_fract_z
V1 0.0000 0.0000 0.0000
Fe1 0.0000 0.2500 0.1250
Si1 0.0000 0.2500 0.3750
O1 0.0355 0.0532 0.6579
```

For the formation energy, the calculation gives -2484 meV/atom. As for the MP2020-corrected energy: -8.446 eV/atom. The crystal system is cubic.



Question: Which formula does entry 2 have?
Answer: V2Fe3Si3O12